Run 1
First-principles (PBE-GGA) data for a geometry-optimized Mg structure, as listed in Materials Project.

Symmetry = Im-3m
Crystal system = cubic

Cell lengths 3.5793, 3.5793, 3.5793 Å; angles 90.00, 90.00, 90.00 degrees
Positions (direct):
Mg  0.0000  0.0000  0.0000
Mg  0.5000  0.5000  0.5000


Run 2
First-principles (PBE-GGA) data for a geometry-optimized Mg structure, as listed in Materials Project.

Symmetry = P6/mmm
Crystal system = hexagonal

Cell lengths 3.0551, 3.0551, 3.1598 Å; angles 90.00, 90.00, 120.00 degrees
Positions (direct):
Mg  0.0000  0.0000  0.0000


Run 3
First-principles (PBE-GGA) data for a geometry-optimized Mg structure, as listed in Materials Project.

Symmetry = Fm-3m
Crystal system = cubic

Cell lengths 4.5056, 4.5056, 4.5056 Å; angles 90.00, 90.00, 90.00 degrees
Positions (direct):
Mg  0.0000  0.0000  0.0000
Mg  0.0000  0.5000  0.5000
Mg  0.5000  0.0000  0.5000
Mg  0.5000  0.5000  0.0000


run 3 is preferred energetically. Next in line: 2.5 kJ/mol of atoms higher.


Run 1
First-principles (PBE-GGA) data for a geometry-optimized Dy2MgSe4 structure, as listed in Materials Project.

Symmetry = Fd-3m
Crystal system = cubic

Cell lengths 8.2748, 8.2748, 8.2748 Å; angles 60.00, 60.00, 60.00 degrees
Positions (direct):
Dy  0.0000  0.0000  0.0000
Dy  0.0000  0.0000  0.5000
Dy  0.0000  0.5000  0.0000
Dy  0.5000  0.0000  0.0000
Mg  0.3750  0.3750  0.3750
Mg  0.6250  0.6250  0.6250
Se  0.2364  0.7545  0.7545
Se  0.2455  0.2455  0.2455
Se  0.2455  0.2455  0.7636
Se  0.2455  0.7636  0.2455
Se  0.7545  0.2364  0.7545
Se  0.7545  0.7545  0.2364
Se  0.7545  0.7545  0.7545
Se  0.7636  0.2455  0.2455


Run 2
First-principles (PBE-GGA) data for a geometry-optimized Dy2MgSe4 structure, as listed in Materials Project.

Symmetry = Pnma
Crystal system = orthorhombic

Cell lengths 14.1870, 8.2597, 6.8455 Å; angles 90.00, 90.00, 90.00 degrees
Positions (direct):
Dy  0.0000  0.0000  0.0000
Dy  0.0000  0.5000  0.0000
Dy  0.2345  0.2500  0.4970
Dy  0.2655  0.7500  0.9970
Dy  0.5000  0.0000  0.5000
Dy  0.5000  0.5000  0.5000
Dy  0.7345  0.2500  0.0030
Dy  0.7655  0.7500  0.5030
Mg  0.0925  0.7500  0.5816
Mg  0.4075  0.2500  0.0816
Mg  0.5925  0.7500  0.9184
Mg  0.9075  0.2500  0.4184
Se  0.0730  0.2500  0.2499
Se  0.0917  0.7500  0.2113
Se  0.1694  0.5057  0.7595
Se  0.1694  0.9943  0.7595
Se  0.3306  0.0057  0.2595
Se  0.3306  0.4943  0.2595
Se  0.4083  0.2500  0.7113
Se  0.4270  0.7500  0.7499
Se  0.5730  0.2500  0.2501
Se  0.5917  0.7500  0.2887
Se  0.6694  0.5057  0.7405
Se  0.6694  0.9943  0.7405
Se  0.8306  0.0057  0.2405
Se  0.8306  0.4943  0.2405
Se  0.9083  0.2500  0.7887
Se  0.9270  0.7500  0.7501


run 1 is preferred energetically. Next in line: 1.7 kJ/mol of atoms higher.


Run 1
First-principles (PBE-GGA) data for a geometry-optimized MgSi2 structure, as listed in Materials Project.

Symmetry = Cm
Crystal system = monoclinic

Cell lengths 5.2286, 5.2286, 12.2468 Å; angles 107.18, 107.18, 39.75 degrees
Positions (direct):
Mg  0.0000  0.0000  0.0000
Mg  0.0306  0.0306  0.5783
Mg  0.5124  0.5124  0.7879
Mg  0.6824  0.6824  0.2165
Si  0.2545  0.2545  0.8636
Si  0.3034  0.3034  0.5712
Si  0.3710  0.3710  0.1390
Si  0.3739  0.3739  0.3858
Si  0.6501  0.6501  0.4325
Si  0.7235  0.7235  0.9995
Si  0.7725  0.7725  0.7106
Si  0.9947  0.9947  0.2974


Run 2
First-principles (PBE-GGA) data for a geometry-optimized MgSi2 structure, as listed in Materials Project.

Symmetry = P1
Crystal system = triclinic

Cell lengths 3.7269, 5.5219, 11.8957 Å; angles 77.79, 81.51, 70.30 degrees
Positions (direct):
Mg  0.0000  0.0000  0.0000
Mg  0.0444  0.2862  0.5559
Mg  0.4176  0.3158  0.8074
Mg  0.6448  0.2655  0.3119
Si  0.1319  0.9126  0.7726
Si  0.3148  0.2902  0.0934
Si  0.3208  0.6824  0.6094
Si  0.3945  0.8679  0.2220
Si  0.6784  0.5814  0.0829
Si  0.6987  0.6840  0.8754
Si  0.7666  0.8870  0.5052
Si  0.9312  0.6796  0.3383


Run 3
First-principles (PBE-GGA) data for a geometry-optimized MgSi2 structure, as listed in Materials Project.

Symmetry = Cm
Crystal system = monoclinic

Cell lengths 5.1114, 5.1114, 12.4286 Å; angles 104.22, 104.22, 40.44 degrees
Positions (direct):
Mg  0.0000  0.0000  0.0000
Mg  0.0077  0.0077  0.2444
Mg  0.3555  0.3555  0.6135
Mg  0.6852  0.6852  0.4297
Si  0.0047  0.0047  0.5050
Si  0.0445  0.0445  0.7837
Si  0.2978  0.2978  0.0891
Si  0.3191  0.3191  0.8205
Si  0.3770  0.3770  0.3694
Si  0.6500  0.6500  0.6673
Si  0.7008  0.7008  0.9254
Si  0.7152  0.7152  0.1994


Run 4
First-principles (PBE-GGA) data for a geometry-optimized MgSi2 structure, as listed in Materials Project.

Symmetry = P1
Crystal system = triclinic

Cell lengths 5.9989, 7.0446, 10.1225 Å; angles 94.79, 98.60, 90.09 degrees
Positions (direct):
Mg  0.0000  0.0000  0.0000
Mg  0.0503  0.6360  0.1670
Mg  0.1489  0.1272  0.4663
Mg  0.3936  0.7881  0.6830
Mg  0.5004  0.0815  0.9924
Mg  0.5566  0.5524  0.1871
Mg  0.6412  0.0559  0.4763
Mg  0.9116  0.8535  0.7073
Si  0.0887  0.4781  0.6659
Si  0.1837  0.3734  0.9583
Si  0.2141  0.1671  0.7501
Si  0.2725  0.2617  0.2094
Si  0.2782  0.7042  0.9378
Si  0.3300  0.7471  0.4106
Si  0.3749  0.9281  0.2198
Si  0.4543  0.4357  0.4843
Si  0.6194  0.1600  0.7469
Si  0.6777  0.6991  0.9266
Si  0.7021  0.4888  0.7115
Si  0.7769  0.9268  0.2291
Si  0.7859  0.3710  0.9671
Si  0.8382  0.4221  0.4388
Si  0.8759  0.2594  0.2189
Si  0.9344  0.7551  0.4335


run 2 is preferred energetically. Next in line: 6.0 kJ/mol of atoms higher.


Run 1
First-principles (PBE-GGA) data for a geometry-optimized MgSi2 structure, as listed in Materials Project.

Symmetry = Pm
Crystal system = monoclinic

Cell lengths 6.9483, 3.7115, 9.2876 Å; angles 90.00, 110.31, 90.00 degrees
Positions (direct):
Mg  0.0000  0.0000  0.0000
Mg  0.1178  0.5000  0.4381
Mg  0.5911  0.5000  0.0023
Mg  0.8187  0.0000  0.5327
Si  0.0758  0.5000  0.7279
Si  0.2868  0.5000  0.1998
Si  0.2977  0.0000  0.8273
Si  0.3936  0.0000  0.3786
Si  0.5078  0.0000  0.6615
Si  0.6548  0.5000  0.3002
Si  0.7420  0.5000  0.7664
Si  0.8342  0.0000  0.2330


Run 2
First-principles (PBE-GGA) data for a geometry-optimized MgSi2 structure, as listed in Materials Project.

Symmetry = C2/m
Crystal system = monoclinic

Cell lengths 12.0689, 12.0689, 5.3292 Å; angles 97.04, 97.04, 17.68 degrees
Positions (direct):
Mg  0.1116  0.1116  0.4339
Mg  0.2801  0.2801  0.2622
Mg  0.7199  0.7199  0.7378
Mg  0.8884  0.8884  0.5661
Si  0.0426  0.0426  0.8979
Si  0.1490  0.1490  0.9715
Si  0.3136  0.3136  0.7745
Si  0.4564  0.4564  0.3716
Si  0.5436  0.5436  0.6284
Si  0.6864  0.6864  0.2255
Si  0.8510  0.8510  0.0285
Si  0.9574  0.9574  0.1021


run 2 is preferred energetically. Next in line: 1.1 kJ/mol of atoms higher.